A plane-wave DFT calculation with PBE was carried out for a geometry-optimized DyGa6 structure.

```
DyGa6
1.0
6.0147 0.0000 0.0000
0.0000 6.0147 0.0000
0.0000 0.0000 7.5808
Dy Ga
2 12
direct
0.2500 0.7500 0.0000
0.7500 0.2500 0.0000
0.0557 0.5557 0.3471
0.0557 0.9443 0.6529
0.2500 0.2500 0.1602
0.2500 0.2500 0.8398
0.4443 0.5557 0.6529
0.4443 0.9443 0.3471
0.5557 0.0557 0.6529
0.5557 0.4443 0.3471
0.7500 0.7500 0.1602
0.7500 0.7500 0.8398
0.9443 0.0557 0.3471
0.9443 0.4443 0.6529
```

E_form, eV/atom: -0.2985
Electronic total energy, eV/f.u.: -24.86